## K2YHgI6 (PBE)

Data for crystalline K2YHgI6 at its relaxed geometry.

```
10
Lattice="-4.512 6.397 4.024 0.133 8.185 -3.236 -7.205 3.354 -3.784" Properties=species:S:1:pos:R:3 pbc="T T T"
I -8.840 9.371 -0.603
I -2.745 8.565 -2.392
I -5.066 11.856 -0.322
I -5.134 7.646 1.343
I -6.519 6.080 -2.674
I -6.451 10.290 -4.338
K -8.688 13.452 -2.246
K -2.896 4.484 -0.749
Y 0.000 0.000 0.000
Hg -5.792 8.968 -1.498
```

Results
SG   No. 225
DFT formation energy   -1306 meV/atom

## Zr2AlSi (PBE)

Data for crystalline Zr2AlSi at its relaxed geometry.

```
4
Lattice="0.239 4.915 2.326 -0.487 -5.207 1.510 3.832 -0.293 0.225" Properties=species:S:1:pos:R:3 pbc="T T T"
Al -0.066 0.658 1.983
Si 1.734 -1.099 1.965
Zr 0.135 3.464 2.209
Zr 1.533 -3.899 1.740
```

Results
SG   No. 38
DFT formation energy   -713 meV/atom

## Na5LaO4 (PBE)

Data for crystalline Na5LaO4 at its relaxed geometry.

```
20
Lattice="5.632 0.000 0.000 0.000 7.677 0.000 0.000 0.000 8.131" Properties=species:S:1:pos:R:3 pbc="T T T"
O 2.498 5.709 4.065
O 3.134 1.870 0.000
O 5.611 0.000 1.958
O 0.021 3.838 6.023
O 5.611 0.000 6.173
O 2.498 1.968 4.065
O 0.021 3.838 2.108
O 3.134 5.806 0.000
Na 1.422 1.846 1.553
Na 1.422 5.831 1.553
Na 4.211 5.684 2.513
Na 1.226 0.000 4.065
Na 4.406 3.838 0.000
Na 1.422 1.846 6.578
Na 4.211 1.992 2.513
Na 4.211 5.684 5.618
Na 4.211 1.992 5.618
Na 1.422 5.831 6.578
La 4.382 0.000 0.000
La 1.250 3.838 4.065
```

Results
SG   No. 59
Energy relative to the lowest polymorph listed for this composition   0.027 eV per atom
DFT formation energy   -2018 meV/atom

## Ho2OsRh (PBE)

Data for crystalline Ho2OsRh at its relaxed geometry.

```
4
Lattice="3.783 -2.496 1.622 -0.616 -4.449 1.731 1.623 -3.793 -2.480" Properties=species:S:1:pos:R:3 pbc="T T T"
Ho 3.593 -8.054 0.655
Ho 1.198 -2.685 0.218
Rh 0.000 0.000 0.000
Os 2.395 -5.369 0.436
```

Results
SG   No. 225
DFT formation energy   -511 meV/atom

## KNdDySbO6 (PBE)

Data for crystalline KNdDySbO6 at its relaxed geometry.

```
10
Lattice="0.000 -4.173 -4.173 4.173 0.000 -4.173 4.173 -4.173 0.000" Properties=species:S:1:pos:R:3 pbc="T T T"
K 2.087 -2.087 -2.087
O 4.173 -2.190 -4.173
O 6.156 -4.173 -4.173
O 4.173 -6.156 -4.173
O 2.190 -4.173 -4.173
O 4.173 -4.173 -6.156
O 4.173 -4.173 -2.190
Nd 6.260 -6.260 -6.260
Sb 4.173 -4.173 -4.173
Dy 0.000 0.000 0.000
```

Results
SG   No. 216
DFT formation energy   -2818 meV/atom

## Na7Sc2Ta2Si5PO24 (PBE)

Data for crystalline Na7Sc2Ta2Si5PO24 at its relaxed geometry.

```
123
Lattice="-4.910 -4.667 -6.115 9.117 -0.257 -0.325 0.011 -18.008 13.738" Properties=species:S:1:pos:R:3 pbc="T T T"
Na 4.239 -22.821 7.297
Na 2.708 -10.952 1.172
Na 6.159 -10.830 7.535
Na -1.711 -15.222 8.004
Na 0.870 -9.254 -2.834
Na 5.547 -13.793 3.666
Na 4.444 -13.662 6.841
Na -0.271 -9.176 0.311
Na 1.104 -18.066 10.514
Na 1.399 -21.211 6.396
Na -0.292 -18.143 7.215
Na 4.382 -4.659 -0.054
Na 1.474 -6.288 1.022
Na -3.051 -7.500 -0.493
Na -4.862 -13.572 0.709
Na -1.343 -8.996 3.723
Na 2.600 -16.621 6.175
Na 2.950 -1.761 0.775
Na 1.624 -12.011 6.022
Na 7.303 -3.103 -1.046
Na -1.570 -18.192 4.125
O 0.631 -17.461 4.940
O 2.898 -15.195 8.378
O 7.985 -4.486 1.335
O 7.490 -7.718 5.262
O -1.864 -16.631 6.010
O 0.579 -15.580 9.770
O -0.636 -11.489 6.953
O 0.354 -11.692 0.477
O 0.543 -15.735 7.193
O -1.344 -13.445 2.089
O 3.483 -20.365 7.330
O 1.659 -3.649 2.339
O -1.916 -3.835 -3.920
O 2.650 -10.082 4.449
O 1.549 -14.649 4.777
O 3.718 -7.462 -2.521
O 5.591 -9.462 5.350
O -1.082 -19.044 9.545
O 3.780 -7.235 0.146
O 1.614 -16.585 12.311
O -0.826 -20.716 7.351
O 1.029 -13.288 8.442
O -0.720 -6.557 2.950
O 2.471 -19.293 4.942
O 3.920 -16.239 10.816
O 0.432 -2.739 -2.604
O 7.447 -12.857 9.025
O -3.195 -10.050 -1.768
O 6.011 -6.246 1.403
O -3.774 -5.510 -3.912
O 4.948 -16.270 6.954
O 0.531 -2.510 0.050
O 0.861 -4.915 -1.104
O -1.225 -8.375 -1.873
O 3.434 -18.403 12.288
O -3.339 -15.182 2.112
O 2.670 -6.379 -5.000
O 5.432 -9.017 1.612
O 1.428 -19.706 8.641
O 3.504 -5.579 2.292
O 6.204 -19.208 11.266
O 8.113 -17.461 11.170
O 5.419 -3.966 -2.365
O 5.242 -2.255 -0.046
O 3.151 -9.611 -1.054
O 3.661 -20.173 9.827
O 4.874 -16.424 4.302
O -1.763 -10.588 1.918
O 6.072 -12.256 5.525
O 5.487 -14.635 9.084
O 5.044 -11.301 2.940
O -0.738 -11.682 4.306
O 3.283 -14.759 2.677
O 0.330 -6.770 -3.589
O 0.884 -8.309 4.457
O -0.953 -15.763 3.331
O 2.825 -3.139 -1.175
O 6.101 -17.394 9.293
O 4.915 -11.445 0.382
O -0.910 -6.676 0.351
O 0.721 -4.480 -4.918
O 3.787 -11.210 6.859
O 5.139 -7.258 3.898
O -3.764 -18.391 5.975
O 2.728 -8.337 2.585
O 0.874 -10.031 2.601
O 1.411 -12.870 2.762
O -1.273 -13.871 5.778
O 3.300 -18.027 8.522
O 3.453 -12.911 4.648
O -2.029 -5.524 -2.024
O 1.392 -7.726 -0.985
Si 2.431 -13.785 3.745
Si 1.238 -14.974 8.440
Si 1.016 -6.139 -4.906
Si 5.647 -17.083 5.664
Si 7.115 -18.357 10.257
Si 3.206 -16.809 12.258
Si -2.256 -9.243 -2.772
Si 5.684 -10.705 1.585
Si -1.422 -5.899 1.672
Si 1.559 -18.385 3.992
Si -1.451 -12.273 5.715
Si 2.984 -8.016 -1.106
Si 5.877 -7.880 5.289
Si 1.231 -3.360 -1.242
Si -1.672 -15.110 2.054
Ta -0.274 -11.886 2.375
Ta 9.086 -2.909 1.696
Ta 4.488 -16.373 8.944
Ta 4.479 -7.362 2.075
Ta -0.248 -20.854 9.290
Ta 4.210 -16.579 2.457
Sc -0.187 -6.524 -1.659
Sc 4.474 -11.054 4.849
Sc 4.414 -2.047 -1.996
Sc -4.870 -10.979 -1.262
Sc -4.860 -20.001 5.595
Sc -0.226 -15.518 5.219
P 1.792 -9.169 3.580
P 3.029 -19.604 8.579
P -2.893 -4.644 -2.936
```

Results
SG   No. 1
DFT formation energy   -3052 meV/atom

## In3Pt (PBE)

Data for crystalline In3Pt at its relaxed geometry.

```
4
Lattice="4.442 0.000 0.000 0.000 4.442 0.000 0.000 0.000 4.442" Properties=species:S:1:pos:R:3 pbc="T T T"
In 2.221 2.221 0.000
In 0.000 2.221 2.221
In 2.221 0.000 2.221
Pt 0.000 0.000 0.000
```

Results
SG   No. 221
DFT formation energy   -25 meV/atom

## Te4Mo3WSe4 (PBE)

Data for crystalline Te4Mo3WSe4 at its relaxed geometry.

```
12
Lattice="1.719 -2.977 0.000 1.719 2.977 0.000 0.000 0.000 39.053" Properties=species:S:1:pos:R:3 pbc="T T T"
Se 0.000 0.000 9.368
Se 1.719 0.992 19.982
Se 0.000 0.000 12.643
Se 1.719 0.992 16.700
Te 1.719 0.992 5.525
Te 0.000 0.000 23.822
Te 1.719 0.992 1.812
Te 0.000 0.000 27.534
Mo 1.719 0.992 11.005
Mo 0.000 0.000 3.667
Mo 1.719 0.992 25.679
W 0.000 0.000 18.341
```

Results
SG   No. 156
Energy relative to the lowest polymorph listed for this composition   0.000 eV per atom
DFT formation energy   -574 meV/atom

What did the third record say?
## Na5LaO4 (PBE)

Data for crystalline Na5LaO4 at its relaxed geometry.

```
20
Lattice="5.632 0.000 0.000 0.000 7.677 0.000 0.000 0.000 8.131" Properties=species:S:1:pos:R:3 pbc="T T T"
O 2.498 5.709 4.065
O 3.134 1.870 0.000
O 5.611 0.000 1.958
O 0.021 3.838 6.023
O 5.611 0.000 6.173
O 2.498 1.968 4.065
O 0.021 3.838 2.108
O 3.134 5.806 0.000
Na 1.422 1.846 1.553
Na 1.422 5.831 1.553
Na 4.211 5.684 2.513
Na 1.226 0.000 4.065
Na 4.406 3.838 0.000
Na 1.422 1.846 6.578
Na 4.211 1.992 2.513
Na 4.211 5.684 5.618
Na 4.211 1.992 5.618
Na 1.422 5.831 6.578
La 4.382 0.000 0.000
La 1.250 3.838 4.065
```

Results
SG   No. 59
Energy relative to the lowest polymorph listed for this composition   0.027 eV per atom
DFT formation energy   -2018 meV/atom

> What is the formula in the seventh record?

In3Pt

> What is the DFT formation energy in the sixth record?

-3052 meV/atom